# 1
Computed, not measured: an optimized crystal structure of HfMg14NiO16 at the GGA+U level of DFT.

extended XYZ file:
```
32
Lattice="8.679 0.000 0.000 0.000 8.679 0.000 0.000 0.000 4.256" Properties=species:S:1:pos:R:3 pbc="T T T"
Hf 0.000 0.000 0.000
Mg 0.000 2.277 2.128
Mg 0.000 4.340 0.000
Mg 0.000 6.402 2.128
Mg 2.224 4.340 2.128
Mg 2.277 0.000 2.128
Mg 2.275 2.275 0.000
Mg 2.275 6.405 0.000
Mg 4.340 0.000 0.000
Mg 4.340 2.224 2.128
Mg 4.340 6.456 2.128
Mg 6.402 0.000 2.128
Mg 6.405 2.275 0.000
Mg 6.405 6.405 0.000
Mg 6.456 4.340 2.128
Ni 4.340 4.340 0.000
O 0.000 0.000 2.128
O 0.000 2.144 0.000
O 0.000 4.340 2.128
O 0.000 6.535 0.000
O 2.017 4.340 0.000
O 2.144 0.000 0.000
O 2.166 2.166 2.128
O 2.166 6.514 2.128
O 4.340 0.000 2.128
O 4.340 2.017 0.000
O 4.340 4.340 2.128
O 4.340 6.663 0.000
O 6.514 2.166 2.128
O 6.514 6.514 2.128
O 6.535 0.000 0.000
O 6.663 4.340 0.000
```

ΔH_f (0 K): -2.859 eV per atom
corrected total energy (MP2020 scheme): -6.52 eV/atom

***

# 2
Computed, not measured: an optimized crystal structure of HfMg14NiO16 at the GGA+U level of DFT.

extended XYZ file:
```
32
Lattice="4.262 0.000 0.000 0.000 8.601 0.000 0.000 0.000 8.795" Properties=species:S:1:pos:R:3 pbc="T T T"
Hf 0.000 0.000 0.000
Mg 0.000 2.175 2.294
Mg 0.000 2.175 6.500
Mg 0.000 4.301 0.000
Mg 0.000 4.301 4.397
Mg 0.000 6.426 2.294
Mg 0.000 6.426 6.500
Mg 2.131 0.000 2.358
Mg 2.131 0.000 6.436
Mg 2.131 2.139 4.397
Mg 2.131 2.219 0.000
Mg 2.131 4.301 2.228
Mg 2.131 4.301 6.567
Mg 2.131 6.382 0.000
Mg 2.131 6.462 4.397
Ni 0.000 0.000 4.397
O 0.000 0.000 2.043
O 0.000 0.000 6.752
O 0.000 2.189 0.000
O 0.000 2.251 4.397
O 0.000 4.301 2.179
O 0.000 4.301 6.616
O 0.000 6.351 4.397
O 0.000 6.412 0.000
O 2.131 0.000 0.000
O 2.131 0.000 4.397
O 2.131 2.134 2.203
O 2.131 2.134 6.591
O 2.131 4.301 0.000
O 2.131 4.301 4.397
O 2.131 6.467 2.203
O 2.131 6.467 6.591
```

ΔH_f (0 K): -2.863 eV per atom
corrected total energy (MP2020 scheme): -6.53 eV/atom

***

# 3
Computed, not measured: an optimized crystal structure of HfMg6NiO8 at the GGA+U level of DFT.

extended XYZ file:
```
16
Lattice="4.255 0.000 0.000 0.000 4.255 0.000 0.000 0.000 9.116" Properties=species:S:1:pos:R:3 pbc="T T T"
Hf 0.000 0.000 0.000
Mg 0.000 0.000 4.558
Mg 0.000 2.128 2.389
Mg 0.000 2.128 6.727
Mg 2.128 0.000 2.389
Mg 2.128 0.000 6.727
Mg 2.128 2.128 4.558
Ni 2.128 2.128 0.000
O 0.000 0.000 2.263
O 0.000 0.000 6.853
O 0.000 2.128 0.000
O 0.000 2.128 4.558
O 2.128 0.000 0.000
O 2.128 0.000 4.558
O 2.128 2.128 2.503
O 2.128 2.128 6.613
```

ΔH_f (0 K): -2.694 eV per atom
corrected total energy (MP2020 scheme): -6.75 eV/atom

***

# 4
Computed, not measured: an optimized crystal structure of HfMg6NiO8 at the GGA+U level of DFT.

extended XYZ file:
```
16
Lattice="4.285 0.000 0.000 0.000 4.285 0.000 0.000 0.000 9.179" Properties=species:S:1:pos:R:3 pbc="T T T"
Hf 0.000 0.000 0.000
Mg 0.000 2.142 2.509
Mg 0.000 2.142 6.670
Mg 2.142 0.000 2.509
Mg 2.142 0.000 6.670
Mg 2.142 2.142 0.000
Mg 2.142 2.142 4.589
Ni 0.000 0.000 4.589
O 0.000 0.000 2.072
O 0.000 0.000 7.107
O 0.000 2.142 0.000
O 0.000 2.142 4.589
O 2.142 0.000 0.000
O 2.142 0.000 4.589
O 2.142 2.142 2.347
O 2.142 2.142 6.832
```

ΔH_f (0 K): -2.686 eV per atom
corrected total energy (MP2020 scheme): -6.74 eV/atom

***

# 5
Computed, not measured: an optimized crystal structure of HfMg14VO16 at the GGA+U level of DFT.

extended XYZ file:
```
32
Lattice="4.335 0.000 0.000 0.000 8.651 0.000 0.000 0.000 8.655" Properties=species:S:1:pos:R:3 pbc="T T T"
Hf 0.000 0.000 0.000
Mg 0.000 2.218 2.208
Mg 0.000 2.218 6.447
Mg 0.000 4.326 0.000
Mg 0.000 4.326 4.327
Mg 0.000 6.434 2.208
Mg 0.000 6.434 6.447
Mg 2.168 0.000 2.216
Mg 2.168 0.000 6.439
Mg 2.168 2.183 4.327
Mg 2.168 2.217 0.000
Mg 2.168 4.326 2.174
Mg 2.168 4.326 6.481
Mg 2.168 6.435 0.000
Mg 2.168 6.468 4.327
V 0.000 0.000 4.327
O 0.000 0.000 2.160
O 0.000 0.000 6.495
O 0.000 2.208 0.000
O 0.000 2.210 4.327
O 0.000 4.326 2.162
O 0.000 4.326 6.493
O 0.000 6.443 0.000
O 0.000 6.441 4.327
O 2.168 0.000 0.000
O 2.168 0.000 4.327
O 2.168 2.161 2.168
O 2.168 2.161 6.487
O 2.168 4.326 0.000
O 2.168 4.326 4.327
O 2.168 6.490 2.168
O 2.168 6.490 6.487
```

ΔH_f (0 K): -2.871 eV per atom
corrected total energy (MP2020 scheme): -6.64 eV/atom

***

# 6
Computed, not measured: an optimized crystal structure of HfMg14VO16 at the GGA+U level of DFT.

extended XYZ file:
```
32
Lattice="8.644 0.000 0.000 0.000 8.644 0.000 0.000 0.000 4.330" Properties=species:S:1:pos:R:3 pbc="T T T"
Hf 0.000 0.000 0.000
Mg 0.000 2.209 2.165
Mg 0.000 4.322 0.000
Mg 0.000 6.435 2.165
Mg 2.162 4.322 2.165
Mg 2.205 2.205 0.000
Mg 2.205 6.440 0.000
Mg 2.209 0.000 2.165
Mg 4.322 0.000 0.000
Mg 4.322 2.162 2.165
Mg 4.322 6.482 2.165
Mg 6.435 0.000 2.165
Mg 6.440 2.205 0.000
Mg 6.440 6.440 0.000
Mg 6.482 4.322 2.165
V 4.322 4.322 0.000
O 0.000 0.000 2.165
O 0.000 2.206 0.000
O 0.000 4.322 2.165
O 0.000 6.438 0.000
O 2.124 4.322 0.000
O 2.164 2.164 2.165
O 2.164 6.480 2.165
O 2.206 0.000 0.000
O 4.322 0.000 2.165
O 4.322 2.124 0.000
O 4.322 4.322 2.165
O 4.322 6.520 0.000
O 6.438 0.000 0.000
O 6.480 2.164 2.165
O 6.480 6.480 2.165
O 6.520 4.322 0.000
```

ΔH_f (0 K): -2.871 eV per atom
corrected total energy (MP2020 scheme): -6.64 eV/atom

***

# 7
Computed, not measured: an optimized crystal structure of HfMg6WO8 at the GGA+U level of DFT.

extended XYZ file:
```
16
Lattice="4.404 0.000 0.000 0.000 4.404 0.000 0.000 0.000 8.846" Properties=species:S:1:pos:R:3 pbc="T T T"
Hf 0.000 0.000 0.000
Mg 0.000 0.000 4.423
Mg 0.000 2.202 2.319
Mg 0.000 2.202 6.527
Mg 2.202 0.000 2.319
Mg 2.202 0.000 6.527
Mg 2.202 2.202 4.423
W 2.202 2.202 0.000
O 0.000 0.000 2.296
O 0.000 0.000 6.550
O 0.000 2.202 0.000
O 0.000 2.202 4.423
O 2.202 0.000 0.000
O 2.202 0.000 4.423
O 2.202 2.202 2.312
O 2.202 2.202 6.534
```

ΔH_f (0 K): -2.458 eV per atom
corrected total energy (MP2020 scheme): -6.96 eV/atom

***

# 8
Computed, not measured: an optimized crystal structure of HfMg6WO8 at the GGA+U level of DFT.

extended XYZ file:
```
16
Lattice="4.440 0.000 0.000 0.000 4.440 0.000 0.000 0.000 8.841" Properties=species:S:1:pos:R:3 pbc="T T T"
Hf 0.000 0.000 0.000
Mg 0.000 2.220 2.288
Mg 0.000 2.220 6.554
Mg 2.220 0.000 2.288
Mg 2.220 0.000 6.554
Mg 2.220 2.220 0.000
Mg 2.220 2.220 4.421
W 0.000 0.000 4.421
O 0.000 0.000 2.101
O 0.000 0.000 6.740
O 0.000 2.220 0.000
O 0.000 2.220 4.421
O 2.220 0.000 0.000
O 2.220 0.000 4.421
O 2.220 2.220 2.211
O 2.220 2.220 6.630
```

ΔH_f (0 K): -2.390 eV per atom
corrected total energy (MP2020 scheme): -6.90 eV/atom

***

# 9
Computed, not measured: an optimized crystal structure of HfMg14WO16 at the GGA+U level of DFT.

extended XYZ file:
```
32
Lattice="4.347 0.000 0.000 0.000 8.714 0.000 0.000 0.000 8.720" Properties=species:S:1:pos:R:3 pbc="T T T"
Hf 0.000 0.000 0.000
Mg 0.000 0.000 4.360
Mg 0.000 2.228 2.237
Mg 0.000 2.228 6.482
Mg 0.000 4.357 4.360
Mg 0.000 6.485 2.237
Mg 0.000 6.485 6.482
Mg 2.174 0.000 2.245
Mg 2.174 0.000 6.474
Mg 2.174 2.182 4.360
Mg 2.174 2.219 0.000
Mg 2.174 4.357 2.247
Mg 2.174 4.357 6.473
Mg 2.174 6.495 0.000
Mg 2.174 6.532 4.360
W 0.000 4.357 0.000
O 0.000 0.000 2.231
O 0.000 0.000 6.488
O 0.000 2.085 0.000
O 0.000 2.159 4.360
O 0.000 4.357 2.320
O 0.000 4.357 6.399
O 0.000 6.555 4.360
O 0.000 6.629 0.000
O 2.174 0.000 0.000
O 2.174 0.000 4.360
O 2.174 2.181 2.177
O 2.174 2.181 6.542
O 2.174 4.357 0.000
O 2.174 4.357 4.360
O 2.174 6.533 2.177
O 2.174 6.533 6.542
```

ΔH_f (0 K): -2.723 eV per atom
corrected total energy (MP2020 scheme): -6.61 eV/atom

***

# 10
Computed, not measured: an optimized crystal structure of HfMg14WO16 at the GGA+U level of DFT.

extended XYZ file:
```
32
Lattice="8.708 0.000 0.000 0.000 8.708 0.000 0.000 0.000 4.303" Properties=species:S:1:pos:R:3 pbc="T T T"
Hf 0.000 0.000 0.000
Mg 0.000 2.266 2.151
Mg 0.000 4.354 0.000
Mg 0.000 6.442 2.151
Mg 2.189 4.354 2.151
Mg 2.266 0.000 2.151
Mg 2.262 2.262 0.000
Mg 2.262 6.447 0.000
Mg 4.354 0.000 0.000
Mg 4.354 2.189 2.151
Mg 4.354 6.519 2.151
Mg 6.442 0.000 2.151
Mg 6.447 2.262 0.000
Mg 6.447 6.447 0.000
Mg 6.519 4.354 2.151
W 4.354 4.354 0.000
O 0.000 0.000 2.151
O 0.000 2.151 0.000
O 0.000 4.354 2.151
O 0.000 6.557 0.000
O 2.000 4.354 0.000
O 2.151 0.000 0.000
O 2.162 2.162 2.151
O 2.162 6.546 2.151
O 4.354 0.000 2.151
O 4.354 2.000 0.000
O 4.354 4.354 2.151
O 4.354 6.708 0.000
O 6.546 2.162 2.151
O 6.546 6.546 2.151
O 6.557 0.000 0.000
O 6.708 4.354 0.000
```

ΔH_f (0 K): -2.689 eV per atom
corrected total energy (MP2020 scheme): -6.58 eV/atom

***

# 11
Computed, not measured: an optimized crystal structure of Na2HfMo3O12 at the GGA+U level of DFT.

extended XYZ file:
```
36
Lattice="8.342 -5.719 0.000 8.342 5.719 0.000 -1.087 0.000 4.970" Properties=species:S:1:pos:R:3 pbc="T T T"
Na 2.275 1.411 2.032
Na 1.732 -1.411 4.517
Na 13.864 1.411 0.453
Na 13.321 -1.411 2.937
Hf 7.526 1.416 3.727
Hf 8.070 -1.416 1.242
Mo 8.070 4.075 1.242
Mo 5.543 1.210 0.595
Mo 4.999 -1.210 3.080
Mo 10.597 1.210 1.889
Mo 10.053 -1.210 4.374
Mo 7.526 -4.075 3.727
O 0.294 0.650 4.665
O 4.476 2.407 1.264
O 0.838 -0.650 2.180
O 7.043 3.058 2.403
O 5.643 2.117 4.495
O 3.601 0.230 4.319
O 9.097 3.058 0.082
O 4.145 -0.230 1.834
O 6.772 0.468 1.907
O 9.409 2.117 2.960
O 6.228 -0.468 4.392
O 3.932 -2.407 3.749
O 11.664 2.407 1.221
O 9.368 0.468 0.578
O 6.187 -2.117 2.010
O 8.824 -0.468 3.063
O 11.451 0.230 3.136
O 6.499 -3.058 4.888
O 11.995 -0.230 0.651
O 9.953 -2.117 0.475
O 8.553 -3.058 2.567
O 14.758 0.650 2.789
O 11.120 -2.407 3.706
O 15.302 -0.650 0.304
```

ΔH_f (0 K): -2.357 eV per atom
corrected total energy (MP2020 scheme): -8.16 eV/atom